(1)
Compound: MgFe12O12F12
Source: the Materials Project database
Functional: GGA+U
Structure: relaxed

abc: 3.110 9.698 14.611
angles: 88.03 88.21 89.59
Fractional positions:
Mg  0.000  0.000  0.000
Fe  0.056  0.440  0.816
Fe  0.065  0.925  0.802
Fe  0.110  0.948  0.491
Fe  0.114  0.451  0.499
Fe  0.121  0.465  0.174
Fe  0.218  0.979  0.205
Fe  0.532  0.336  0.985
Fe  0.558  0.696  0.968
Fe  0.588  0.196  0.680
Fe  0.591  0.722  0.649
Fe  0.622  0.735  0.334
Fe  0.645  0.228  0.319
O  0.039  0.295  0.918
O  0.060  0.807  0.925
O  0.083  0.096  0.729
O  0.098  0.803  0.590
O  0.128  0.799  0.267
O  0.146  0.335  0.274
O  0.550  0.527  0.901
O  0.568  0.360  0.754
O  0.575  0.835  0.756
O  0.619  0.874  0.429
O  0.628  0.403  0.103
O  0.710  0.092  0.231
F  0.077  0.605  0.720
F  0.083  0.631  0.059
F  0.097  0.287  0.600
F  0.119  0.616  0.399
F  0.137  0.125  0.399
F  0.448  0.137  0.040
F  0.520  0.890  0.070
F  0.591  0.021  0.890
F  0.605  0.055  0.559
F  0.607  0.552  0.567
F  0.621  0.353  0.435
F  0.624  0.574  0.234

Computed properties:
Space group: P1, No. 1
M_tot, μB/f.u.: 58.004
Excess energy over the best structure of this formula in the dataset, meV/atom: 21

***

(2)
Compound: MgFe4O4F4
Source: the Materials Project database
Functional: GGA+U
Structure: relaxed

abc: 5.177 5.323 6.061
angles: 86.07 88.79 75.75
Fractional positions:
Mg  0.000  0.000  0.000
Fe  0.449  0.150  0.744
Fe  0.525  0.059  0.278
Fe  0.782  0.541  0.981
Fe  0.905  0.487  0.486
O  0.075  0.307  0.775
O  0.590  0.296  0.485
O  0.614  0.241  0.005
O  0.838  0.768  0.234
F  0.117  0.211  0.236
F  0.382  0.838  0.989
F  0.399  0.876  0.540
F  0.850  0.834  0.762

Computed properties:
Space group: P1, No. 1
M_tot, μB/f.u.: 18.000
Excess energy over the best structure of this formula in the dataset, meV/atom: 44

***

(3)
Compound: MnFeNF6
Source: the Materials Project database
Functional: GGA+U
Structure: relaxed

abc: 10.356 7.640 12.608
angles: 90.00 90.00 90.00
Fractional positions:
Mn  0.186  0.248  0.000
Mn  0.186  0.252  0.500
Mn  0.314  0.749  0.215
Mn  0.314  0.751  0.715
Mn  0.686  0.249  0.715
Mn  0.686  0.251  0.215
Mn  0.814  0.748  0.500
Mn  0.814  0.752  0.000
Fe  0.177  0.749  0.998
Fe  0.177  0.751  0.498
Fe  0.323  0.250  0.217
Fe  0.323  0.250  0.717
Fe  0.677  0.750  0.217
Fe  0.677  0.750  0.717
Fe  0.823  0.249  0.498
Fe  0.823  0.251  0.998
N  0.000  0.000  0.286
N  0.000  0.000  0.758
N  0.000  0.500  0.258
N  0.000  0.500  0.786
N  0.500  0.000  0.425
N  0.500  0.000  0.966
N  0.500  0.500  0.466
N  0.500  0.500  0.925
F  0.003  0.219  0.958
F  0.003  0.281  0.458
F  0.143  0.723  0.651
F  0.143  0.777  0.151
F  0.150  0.221  0.148
F  0.150  0.279  0.648
F  0.152  0.004  0.510
F  0.152  0.496  0.010
F  0.209  0.000  0.983
F  0.209  0.500  0.483
F  0.248  0.216  0.358
F  0.248  0.284  0.858
F  0.252  0.714  0.857
F  0.252  0.786  0.357
F  0.292  0.501  0.234
F  0.292  0.999  0.734
F  0.348  0.503  0.705
F  0.348  0.997  0.205
F  0.350  0.720  0.068
F  0.350  0.780  0.568
F  0.357  0.219  0.565
F  0.357  0.281  0.065
F  0.497  0.720  0.258
F  0.497  0.780  0.758
F  0.503  0.220  0.758
F  0.503  0.280  0.258
F  0.643  0.719  0.065
F  0.643  0.781  0.565
F  0.650  0.220  0.568
F  0.650  0.280  0.068
F  0.652  0.003  0.205
F  0.652  0.497  0.705
F  0.708  0.001  0.734
F  0.708  0.499  0.234
F  0.748  0.214  0.357
F  0.748  0.286  0.857
F  0.752  0.716  0.858
F  0.752  0.784  0.358
F  0.791  0.000  0.983
F  0.791  0.500  0.483
F  0.848  0.504  0.010
F  0.848  0.996  0.510
F  0.850  0.721  0.648
F  0.850  0.779  0.148
F  0.857  0.223  0.151
F  0.857  0.277  0.651
F  0.997  0.719  0.458
F  0.997  0.781  0.958

Computed properties:
Space group: Pnc2, No. 30
M_tot, μB/f.u.: 12.000
Raw total energy, eV per atom: -5.17

***

Question: Among the records above, which one has the highest M_tot?
Answer: MgFe12O12F12

***

Question: Which value of M_tot does entry 1 give?
Answer: 58.004 μB/f.u.